{"formula": "ZnS", "functional": "PBE", "state": "optimized geometry", "m_tot_mub_per_cell": 0.00, "energy_ev_per_atom": -3.458, "formation_energy_ev_per_atom": -1.011, "space_group": "R3m (160)", "lattice": [[2.758, 2.587, 0.839], [1.504, 2.207, -2.806], [-38.084, 40.630, 8.863]], "species": ["Zn", "Zn", "Zn", "Zn", "Zn", "Zn", "Zn", "Zn", "Zn", "Zn", "Zn", "Zn", "Zn", "Zn", "Zn", "Zn", "Zn", "Zn", "S", "S", "S", "S", "S", "S", "S", "S", "S", "S", "S", "S", "S", "S", "S", "S", "S", "S"], "frac_coords": [[0.000, 0.000, 0.000], [0.944, 0.944, 0.167], [0.870, 0.870, 0.389], [0.815, 0.815, 0.556], [0.759, 0.759, 0.722], [0.722, 0.722, 0.833], [0.648, 0.648, 0.056], [0.593, 0.593, 0.222], [0.556, 0.556, 0.333], [0.500, 0.500, 0.500], [0.463, 0.463, 0.611], [0.407, 0.407, 0.778], [0.352, 0.352, 0.944], [0.296, 0.296, 0.111], [0.241, 0.241, 0.278], [0.185, 0.185, 0.444], [0.111, 0.111, 0.667], [0.037, 0.037, 0.889], [0.986, 0.986, 0.042], [0.931, 0.931, 0.208], [0.856, 0.856, 0.431], [0.801, 0.801, 0.597], [0.745, 0.745, 0.764], [0.708, 0.708, 0.875], [0.634, 0.634, 0.097], [0.579, 0.579, 0.264], [0.542, 0.542, 0.375], [0.486, 0.486, 0.542], [0.449, 0.449, 0.653], [0.394, 0.394, 0.819], [0.338, 0.338, 0.986], [0.282, 0.282, 0.153], [0.227, 0.227, 0.319], [0.171, 0.171, 0.486], [0.097, 0.097, 0.708], [0.023, 0.023, 0.930]]}



{"formula": "ZnS", "functional": "PBE", "state": "optimized geometry", "m_tot_mub_per_cell": 0.00, "energy_ev_per_atom": -3.497, "formation_energy_ev_per_atom": -1.051, "space_group": "R3m (160)", "lattice": [[0.508, 3.486, -1.615], [-2.512, 2.859, 0.731], [30.466, 18.124, 44.058]], "species": ["Zn", "Zn", "Zn", "Zn", "Zn", "Zn", "Zn", "Zn", "Zn", "Zn", "Zn", "Zn", "Zn", "Zn", "Zn", "Zn", "Zn", "Zn", "S", "S", "S", "S", "S", "S", "S", "S", "S", "S", "S", "S", "S", "S", "S", "S", "S", "S"], "frac_coords": [[0.000, 0.000, 0.000], [0.944, 0.944, 0.167], [0.889, 0.889, 0.333], [0.815, 0.815, 0.556], [0.741, 0.741, 0.778], [0.685, 0.685, 0.944], [0.630, 0.630, 0.111], [0.574, 0.574, 0.278], [0.519, 0.519, 0.444], [0.463, 0.463, 0.611], [0.426, 0.426, 0.722], [0.389, 0.389, 0.833], [0.315, 0.315, 0.056], [0.259, 0.259, 0.222], [0.204, 0.204, 0.389], [0.167, 0.167, 0.500], [0.111, 0.111, 0.667], [0.037, 0.037, 0.889], [0.986, 0.986, 0.042], [0.931, 0.931, 0.208], [0.875, 0.875, 0.375], [0.801, 0.801, 0.597], [0.727, 0.727, 0.819], [0.671, 0.671, 0.986], [0.616, 0.616, 0.153], [0.560, 0.560, 0.319], [0.505, 0.505, 0.486], [0.449, 0.449, 0.653], [0.412, 0.412, 0.764], [0.375, 0.375, 0.875], [0.301, 0.301, 0.097], [0.245, 0.245, 0.264], [0.190, 0.190, 0.430], [0.153, 0.153, 0.542], [0.097, 0.097, 0.708], [0.023, 0.023, 0.930]]}



{"formula": "ZnS", "functional": "PBE", "state": "optimized geometry", "m_tot_mub_per_cell": 0.00, "energy_ev_per_atom": -3.497, "formation_energy_ev_per_atom": -1.051, "space_group": "R3m (160)", "lattice": [[22.073, -1.930, 0.000], [22.073, 1.930, 0.000], [21.905, 0.000, 3.338]], "species": ["Zn", "Zn", "Zn", "Zn", "Zn", "Zn", "Zn", "S", "S", "S", "S", "S", "S", "S"], "frac_coords": [[0.000, 0.000, 0.000], [0.714, 0.714, 0.714], [0.429, 0.429, 0.429], [0.810, 0.810, 0.810], [0.524, 0.524, 0.524], [0.905, 0.905, 0.905], [0.286, 0.286, 0.286], [0.036, 0.036, 0.036], [0.750, 0.750, 0.750], [0.464, 0.464, 0.464], [0.845, 0.845, 0.845], [0.560, 0.560, 0.560], [0.940, 0.940, 0.940], [0.321, 0.321, 0.321]]}